[1]
The following is a GGA-PBE calculation of a geometry-optimized Sm2Ga3Fe14C2 structure, from the Materials Project.

POSCAR file:
```
Sm2Ga3Fe14C2
1.0
4.334 2.526 4.160
-4.334 2.526 4.160
0.000 -5.025 4.144
C Sm Fe Ga
2 2 14 3
direct
0.500 0.000 0.500
0.000 0.500 0.500
0.348 0.348 0.337
0.652 0.652 0.663
0.001 0.286 0.714
0.999 0.714 0.286
0.851 0.346 0.343
0.288 0.712 0.000
0.344 0.344 0.848
0.092 0.092 0.095
0.714 0.999 0.286
0.346 0.851 0.343
0.656 0.656 0.152
0.712 0.288 0.000
0.286 0.001 0.714
0.908 0.908 0.905
0.654 0.149 0.657
0.149 0.654 0.657
0.000 0.500 0.000
0.500 0.000 0.000
0.000 0.000 0.500
```

## Properties
VASP energy = -7.524 eV/atom
Theoretical density = 8.03 g/cm3
SG = C2/m, No. 12



[2]
The following is a GGA-PBE calculation of a geometry-optimized NaDyH2S2O9 structure, from the Materials Project.

POSCAR file:
```
NaDyH2S2O9
1.0
3.455 -5.984 0.000
3.455 5.984 0.000
0.000 0.000 12.896
O S H Dy Na
27 6 6 3 3
direct
0.096 0.000 0.333
0.826 0.242 0.368
0.478 0.863 0.021
0.242 0.826 0.632
0.738 0.624 0.166
0.345 0.478 0.168
0.615 0.137 0.645
0.624 0.738 0.834
0.137 0.615 0.355
0.758 0.585 0.701
0.655 0.133 0.165
0.262 0.885 0.167
0.415 0.174 0.034
0.133 0.655 0.835
0.174 0.415 0.966
0.000 0.096 0.667
0.376 0.115 0.499
0.867 0.522 0.498
0.863 0.478 0.979
0.585 0.758 0.299
0.478 0.345 0.832
0.385 0.522 0.688
0.115 0.376 0.501
0.522 0.385 0.312
0.885 0.262 0.833
0.904 0.904 0.000
0.522 0.867 0.502
0.441 0.985 0.571
0.543 0.559 0.238
0.985 0.441 0.429
0.015 0.457 0.905
0.457 0.015 0.095
0.559 0.543 0.762
0.989 0.953 0.277
0.036 0.047 0.390
0.047 0.036 0.610
0.011 0.964 0.057
0.964 0.011 0.943
0.953 0.989 0.723
0.557 0.557 0.000
0.000 0.443 0.667
0.443 0.000 0.333
0.512 0.512 0.500
0.000 0.488 0.167
0.488 0.000 0.833
```

## Properties
VASP energy = -6.228 eV/atom
Theoretical density = 3.70 g/cm3
SG = P3_121, No. 152



[3]
The following is a GGA-PBE calculation of a geometry-optimized MnV2Fe structure, from the Materials Project.

POSCAR file:
```
MnV2Fe
1.0
0.000 2.877 2.877
2.877 0.000 2.877
2.877 2.877 0.000
V Mn Fe
2 1 1
direct
0.750 0.750 0.750
0.250 0.250 0.250
0.000 0.000 0.000
0.500 0.500 0.500
```

## Properties
VASP energy = -9.142 eV/atom
Theoretical density = 7.42 g/cm3
SG = Fm-3m, No. 225



[4]
The following is a GGA-PBE calculation of a geometry-optimized RbAl3P6O20 structure, from the Materials Project.

POSCAR file:
```
RbAl3P6O20
1.0
5.014 -6.547 0.000
5.014 6.547 0.000
0.000 0.000 12.089
O P Rb Al
40 12 2 6
direct
0.278 0.702 0.593
0.790 0.823 0.316
0.769 0.475 0.702
0.727 0.019 0.784
0.636 0.965 0.445
0.731 0.524 0.260
0.144 0.926 0.516
0.475 0.769 0.298
0.019 0.727 0.216
0.965 0.636 0.555
0.174 0.681 0.397
0.745 0.764 0.888
0.826 0.319 0.897
0.273 0.981 0.284
0.298 0.722 0.907
0.681 0.174 0.603
0.525 0.231 0.798
0.926 0.144 0.484
0.364 0.035 0.945
0.035 0.364 0.055
0.269 0.476 0.760
0.210 0.177 0.816
0.327 0.944 0.742
0.074 0.856 0.984
0.722 0.298 0.093
0.236 0.255 0.612
0.764 0.745 0.112
0.319 0.826 0.103
0.823 0.790 0.684
0.524 0.731 0.740
0.255 0.236 0.388
0.056 0.673 0.758
0.944 0.327 0.258
0.856 0.074 0.016
0.673 0.056 0.242
0.981 0.273 0.716
0.177 0.210 0.184
0.702 0.278 0.407
0.231 0.525 0.202
0.476 0.269 0.240
0.366 0.094 0.817
0.906 0.634 0.683
0.305 0.168 0.277
0.695 0.832 0.777
0.832 0.695 0.223
0.847 0.257 0.011
0.094 0.366 0.183
0.168 0.305 0.723
0.743 0.153 0.489
0.257 0.847 0.989
0.634 0.906 0.317
0.153 0.743 0.511
0.478 0.478 0.000
0.522 0.522 0.500
0.868 0.868 0.000
0.246 0.754 0.250
0.754 0.246 0.750
0.708 0.292 0.250
0.132 0.132 0.500
0.292 0.708 0.750
```

## Properties
VASP energy = -7.263 eV/atom
Theoretical density = 2.81 g/cm3
SG = C222_1, No. 20



[5]
The following is a GGA-PBE calculation of a geometry-optimized Ba3Zn2As4 structure, from the Materials Project.

POSCAR file:
```
Ba3Zn2As4
1.0
-7.433 -3.630 -3.107
-5.635 -6.794 -0.390
-5.616 0.783 4.626
Ba Zn As
3 2 4
direct
0.143 0.143 0.417
0.000 0.000 0.000
0.857 0.857 0.583
0.328 0.328 0.963
0.672 0.672 0.037
0.489 0.489 0.681
0.511 0.511 0.319
0.206 0.206 0.834
0.794 0.794 0.166
```

## Properties
VASP energy = -3.845 eV/atom
Theoretical density = 5.36 g/cm3
SG = C2/m, No. 12



[6]
The following is a GGA-PBE calculation of a geometry-optimized CsAc structure, from the Materials Project.

POSCAR file:
```
CsAc
1.0
2.035 -3.524 0.000
2.035 3.524 0.000
0.000 0.000 15.999
Ac Cs
2 2
direct
0.333 0.667 0.064
0.667 0.333 0.564
0.333 0.667 0.311
0.667 0.333 0.811
```

## Properties
VASP energy = -2.027 eV/atom
Theoretical density = 5.21 g/cm3
SG = P6_3mc, No. 186



[7]
The following is a GGA-PBE calculation of a geometry-optimized Ti2P2O9 structure, from the Materials Project.

POSCAR file:
```
Ti2P2O9
1.0
6.340 0.000 0.000
0.000 7.828 0.000
0.000 0.000 14.044
O P Ti
36 8 8
direct
0.750 0.666 0.484
0.947 0.410 0.375
0.553 0.410 0.375
0.053 0.362 0.122
0.553 0.862 0.378
0.750 0.984 0.519
0.750 0.274 0.750
0.250 0.166 0.016
0.750 0.834 0.984
0.447 0.910 0.125
0.250 0.028 0.271
0.250 0.774 0.750
0.947 0.638 0.878
0.750 0.134 0.048
0.447 0.590 0.625
0.053 0.590 0.625
0.750 0.516 0.019
0.750 0.528 0.229
0.750 0.972 0.729
0.053 0.910 0.125
0.947 0.090 0.875
0.250 0.866 0.952
0.250 0.472 0.771
0.553 0.638 0.878
0.947 0.862 0.378
0.250 0.484 0.981
0.250 0.334 0.516
0.250 0.726 0.250
0.553 0.090 0.875
0.447 0.138 0.622
0.053 0.138 0.622
0.250 0.634 0.452
0.750 0.226 0.250
0.750 0.366 0.548
0.250 0.016 0.481
0.447 0.362 0.122
0.250 0.892 0.190
0.250 0.146 0.561
0.250 0.608 0.690
0.750 0.392 0.310
0.750 0.108 0.810
0.750 0.854 0.439
0.250 0.354 0.061
0.750 0.646 0.939
0.500 0.500 0.500
0.250 0.854 0.374
0.750 0.354 0.126
0.000 0.000 0.000
0.750 0.146 0.626
0.250 0.646 0.874
0.500 0.000 0.000
0.000 0.500 0.500
```

## Properties
VASP energy = -8.023 eV/atom
Theoretical density = 2.87 g/cm3
SG = Pnma, No. 62



[8]
The following is a GGA-PBE calculation of a geometry-optimized NaCd2Rh structure, from the Materials Project.

POSCAR file:
```
NaCd2Rh
1.0
0.000 3.369 3.369
3.369 0.000 3.369
3.369 3.369 0.000
Cd Na Rh
2 1 1
direct
0.250 0.250 0.250
0.750 0.750 0.750
0.500 0.500 0.500
0.000 0.000 0.000
```

## Properties
VASP energy = -2.693 eV/atom
Theoretical density = 7.61 g/cm3
SG = Fm-3m, No. 225



[9]
The following is a GGA-PBE calculation of a geometry-optimized HfMg6Ga structure, from the Materials Project.

POSCAR file:
```
HfMg6Ga
1.0
-1.671 -0.143 4.608
5.348 -2.965 1.848
4.685 9.697 2.000
Mg Hf Ga
12 2 2
direct
0.500 0.748 0.419
0.000 0.000 0.333
0.500 0.752 0.919
0.000 0.251 0.084
0.000 0.749 0.084
0.500 0.000 0.166
0.500 0.252 0.419
0.000 0.249 0.584
0.000 0.500 0.833
0.500 0.248 0.919
0.000 0.751 0.584
0.500 0.500 0.666
0.500 0.000 0.676
0.500 0.500 0.176
0.000 0.500 0.321
0.000 0.000 0.821
```

## Properties
VASP energy = -2.799 eV/atom
Theoretical density = 3.81 g/cm3



[10]
The following is a GGA-PBE calculation of a geometry-optimized TiPCl9 structure, from the Materials Project.

POSCAR file:
```
TiPCl9
1.0
-5.635 4.585 0.423
-0.563 -2.866 8.778
7.138 6.778 0.624
Cl P Ti
18 2 2
direct
0.944 0.211 0.590
0.921 0.711 0.750
0.755 0.939 0.236
0.700 0.484 0.455
0.857 0.115 0.871
0.482 0.759 0.859
0.420 0.171 0.439
0.518 0.241 0.141
0.625 0.429 0.776
0.163 0.390 0.885
0.580 0.829 0.561
0.056 0.789 0.410
0.300 0.516 0.545
0.079 0.289 0.250
0.245 0.061 0.764
0.837 0.610 0.115
0.375 0.571 0.224
0.143 0.885 0.129
0.052 0.196 0.777
0.948 0.804 0.223
0.388 0.364 0.325
0.612 0.636 0.675
```

## Properties
VASP energy = -3.768 eV/atom
Theoretical density = 2.06 g/cm3
SG = P-1, No. 2



[11]
The following is a GGA-PBE calculation of a geometry-optimized Tl3VS4 structure, from the Materials Project.

POSCAR file:
```
Tl3VS4
1.0
3.837 3.837 3.837
3.837 -3.837 -3.837
-3.837 3.837 -3.837
Tl S V
3 4 1
direct
0.500 0.500 0.000
0.500 0.000 0.500
0.000 0.500 0.500
0.000 0.000 0.326
0.674 0.674 0.674
0.000 0.326 0.000
0.326 0.000 0.000
0.000 0.000 0.000
```

## Properties
VASP energy = -4.698 eV/atom
Piezoelectric modulus e_max = 0.4 C/m2
Theoretical density = 5.82 g/cm3
SG = I-43m, No. 217



[12]
The following is a GGA-PBE calculation of a geometry-optimized LaSnF7 structure, from the Materials Project.

POSCAR file:
```
LaSnF7
1.0
-1.492 3.553 -4.430
-0.839 -7.432 -5.679
-11.259 -5.629 -0.722
F Sn La
28 4 4
direct
0.415 0.969 0.733
0.585 0.031 0.267
0.984 0.731 0.137
0.760 0.034 0.552
0.453 0.743 0.167
0.463 0.285 0.044
0.484 0.269 0.363
0.085 0.969 0.233
0.234 0.487 0.639
0.016 0.269 0.863
0.915 0.031 0.767
0.734 0.513 0.861
0.447 0.709 0.422
0.240 0.966 0.448
0.516 0.731 0.637
0.537 0.715 0.956
0.740 0.034 0.052
0.260 0.966 0.948
0.547 0.257 0.833
0.266 0.487 0.139
0.053 0.709 0.922
0.963 0.715 0.456
0.037 0.285 0.544
0.947 0.291 0.078
0.553 0.291 0.578
0.047 0.743 0.667
0.953 0.257 0.333
0.766 0.513 0.361
0.244 0.726 0.543
0.756 0.274 0.457
0.256 0.726 0.043
0.744 0.274 0.957
0.742 0.811 0.765
0.242 0.189 0.735
0.258 0.189 0.235
0.758 0.811 0.265
```

## Properties
VASP energy = -5.713 eV/atom
Theoretical density = 4.22 g/cm3
SG = P2_1/c, No. 14